1.
CaH14I2O7 | PBE | relaxed

ΔE_f   -1.31 eV per atom
Symmetry   P2_1/c (14)

extended XYZ file:
```
192
Lattice="9.859 0.000 0.000 0.000 16.626 0.000 -0.815 0.000 15.017" Properties=species:S:1:pos:R:3 pbc="T T T"
Ca 0.160 1.714 3.803
Ca -0.248 6.599 11.311
Ca 4.287 2.524 3.497
Ca 3.879 5.789 11.005
Ca 5.165 10.837 4.011
Ca 4.757 14.102 11.520
Ca 9.292 10.027 3.705
Ca 8.885 14.912 11.214
H -0.288 1.356 6.888
H -0.696 6.957 14.397
H -0.354 3.920 9.651
H 0.053 4.393 2.143
H -0.074 10.092 6.748
H -0.482 14.847 14.256
H -0.156 12.347 9.798
H 0.251 12.593 2.290
H 0.201 9.432 10.441
H 0.609 15.508 2.933
H 0.649 0.145 6.512
H 0.242 8.168 14.021
H 0.668 8.833 6.158
H 0.260 16.106 13.666
H 0.463 9.509 11.985
H 0.871 15.430 4.477
H 1.104 11.493 1.593
H 0.696 13.446 9.101
H 1.007 3.894 10.452
H 1.414 4.419 2.944
H 1.833 8.466 2.650
H 1.426 16.473 10.158
H 1.893 3.654 5.337
H 1.485 4.659 12.845
H 2.228 1.955 1.426
H 1.821 6.358 8.935
H 2.267 11.877 3.646
H 1.860 13.062 11.154
H 2.350 9.030 4.040
H 1.942 15.909 11.548
H 2.264 2.232 5.871
H 1.856 6.081 13.379
H 2.514 0.533 2.010
H 2.106 7.780 9.518
H 2.783 12.446 5.023
H 2.376 12.493 12.532
H 2.783 8.588 11.717
H 3.190 16.351 4.208
H 3.183 2.832 10.487
H 3.591 5.482 2.978
H 3.432 9.495 6.124
H 3.025 15.444 13.632
H 3.135 3.021 12.045
H 3.542 5.292 4.537
H 3.832 11.893 1.493
H 3.424 13.047 9.001
H 3.573 3.977 8.462
H 3.980 4.336 0.954
H 4.263 8.337 5.484
H 3.855 16.602 12.992
H 4.572 10.606 0.963
H 4.164 14.333 8.471
H 3.964 8.442 12.741
H 4.372 16.498 5.233
H 4.693 3.017 0.432
H 4.285 5.296 7.940
H 4.759 11.330 7.077
H 4.351 13.609 14.585
H 4.673 0.129 9.784
H 5.080 8.185 2.276
H 4.880 2.293 6.545
H 4.473 6.020 14.054
H 5.189 0.024 2.025
H 4.781 8.289 9.533
H 5.064 12.290 14.063
H 5.471 12.649 6.554
H 5.620 3.580 6.015
H 5.212 4.733 13.524
H 5.502 11.334 10.480
H 5.910 13.605 2.971
H 6.019 1.182 1.385
H 5.612 7.131 8.893
H 5.453 11.145 12.038
H 5.861 13.795 4.530
H 5.854 0.275 10.808
H 6.262 8.038 3.300
H 6.668 4.133 2.485
H 6.261 4.180 9.993
H 6.938 8.846 5.498
H 6.530 16.094 13.006
H 7.188 10.545 1.638
H 6.780 14.394 9.146
H 7.102 0.717 3.469
H 6.694 7.596 10.977
H 7.184 3.564 3.862
H 6.777 4.749 11.370
H 7.223 10.268 6.082
H 6.816 14.671 13.590
H 7.559 11.967 2.171
H 7.151 12.972 9.680
H 7.619 0.153 4.858
H 7.211 8.160 12.367
H 7.630 12.207 12.073
H 8.038 12.732 4.565
H 8.348 3.180 5.915
H 7.941 5.133 13.424
H 8.173 1.196 10.540
H 8.581 7.117 3.032
H 8.784 0.520 1.350
H 8.376 7.793 8.859
H 8.802 8.459 0.996
H 8.395 16.481 8.504
H 8.435 1.118 12.084
H 8.843 7.195 4.576
H 8.793 4.034 12.727
H 9.201 4.279 5.218
H 9.526 1.779 0.761
H 9.119 6.534 8.269
H 8.991 12.233 12.874
H 9.399 12.706 5.366
H 9.740 9.669 0.620
H 9.333 15.270 8.128
I 0.513 2.300 13.759
I 0.921 6.013 6.251
I 0.810 10.855 14.103
I 1.217 14.085 6.595
I 2.999 1.486 8.425
I 3.406 6.827 0.917
I 3.195 10.095 8.701
I 3.603 14.844 1.193
I 5.441 1.782 13.824
I 5.849 6.531 6.316
I 5.638 9.799 14.100
I 6.045 15.140 6.592
I 7.827 2.542 8.422
I 8.235 5.772 0.913
I 8.124 10.613 8.766
I 8.531 14.326 1.258
O 0.100 0.864 6.128
O -0.307 7.449 13.636
O 0.317 9.717 5.923
O -0.091 15.222 13.431
O 0.653 3.846 2.711
O 0.246 4.467 10.219
O 0.781 11.777 2.479
O 0.373 13.162 9.987
O 0.589 8.928 11.194
O 0.997 16.012 3.685
O 1.593 9.041 3.405
O 1.185 15.898 10.914
O 2.115 2.740 5.039
O 1.707 5.574 12.548
O 2.329 1.466 2.276
O 1.921 6.847 9.784
O 3.044 11.902 4.255
O 2.637 13.038 11.764
O 2.994 3.491 11.197
O 3.401 4.822 3.688
O 3.798 0.380 4.608
O 3.391 7.933 12.116
O 3.764 9.168 5.253
O 3.357 15.771 12.761
O 4.226 3.415 1.206
O 3.819 4.898 8.714
O 4.317 11.092 1.778
O 3.909 13.847 9.286
O 5.135 2.779 5.731
O 4.728 5.534 13.239
O 5.226 11.728 6.302
O 4.818 13.211 13.811
O 5.687 0.855 2.256
O 5.280 7.458 9.764
O 5.654 8.693 2.901
O 5.246 16.246 10.409
O 5.643 11.805 11.328
O 6.050 13.135 3.820
O 6.407 3.589 3.253
O 6.000 4.725 10.761
O 7.123 9.779 5.232
O 6.716 15.160 12.740
O 7.337 11.053 2.469
O 6.929 13.887 9.977
O 7.859 0.728 4.103
O 7.451 7.585 11.611
O 8.047 0.614 11.331
O 8.455 7.699 3.823
O 8.671 3.464 5.030
O 8.263 4.849 12.538
O 8.799 12.159 4.798
O 8.391 12.780 12.306
O 9.135 1.404 1.586
O 8.727 6.909 9.094
O 9.352 9.177 1.380
O 8.944 15.763 8.889
```


2.
CaH2I2O7 | PBE | relaxed

ΔE_f   -1.45 eV per atom
Symmetry   P2_1/c (14)

extended XYZ file:
```
48
Lattice="8.606 0.000 0.000 0.000 10.163 0.000 -0.675 0.000 7.598" Properties=species:S:1:pos:R:3 pbc="T T T"
Ca 1.720 0.082 1.243
Ca 1.382 4.999 5.041
Ca 6.549 5.163 2.556
Ca 6.212 10.081 6.355
H 1.379 0.996 5.920
H 1.716 4.085 2.121
H 2.623 0.053 6.220
H 2.960 5.028 2.422
H 4.971 5.135 5.176
H 5.309 10.109 1.377
H 6.215 6.077 5.476
H 6.553 9.167 1.677
I 0.212 7.013 0.329
I -0.125 8.231 4.127
I 4.139 6.977 0.413
I 3.802 8.267 4.212
I 4.130 1.895 3.386
I 3.792 3.186 7.185
I 8.057 1.932 3.470
I 7.719 3.150 7.269
O -0.488 6.121 6.314
O -0.150 9.123 2.515
O -0.121 6.508 3.479
O -0.458 8.736 7.277
O 1.195 1.726 3.008
O 0.857 3.355 6.807
O 2.027 0.731 6.612
O 2.364 4.350 2.813
O 2.252 5.724 7.448
O 2.589 9.520 3.649
O 2.599 6.978 4.671
O 2.936 8.266 0.872
O 3.820 1.241 1.692
O 3.483 3.840 5.490
O 4.449 6.323 2.107
O 4.112 8.921 5.906
O 4.995 1.897 6.726
O 5.332 3.184 2.927
O 5.342 0.643 3.948
O 5.679 4.439 0.149
O 5.567 5.812 4.785
O 5.905 9.432 0.986
O 7.074 6.808 0.790
O 6.737 8.436 4.589
O 8.389 1.426 0.320
O 8.052 3.655 4.119
O 8.082 1.039 5.082
O 8.419 4.042 1.284
```


3.
CaH16I2O8 | PBE | relaxed

ΔE_f   -1.31 eV per atom
Symmetry   P-1 (2)

extended XYZ file:
```
54
Lattice="7.709 0.000 0.000 2.725 8.337 0.000 1.082 0.235 10.693" Properties=species:S:1:pos:R:3 pbc="T T T"
Ca 1.876 3.271 3.431
Ca 9.640 5.301 7.262
H 3.360 7.466 8.940
H 1.879 1.937 6.217
H 2.283 2.464 8.463
H 3.048 6.012 2.630
H 1.598 0.344 2.511
H 2.781 4.297 0.664
H 2.153 0.774 5.159
H 2.432 2.793 0.372
H 3.135 0.969 9.936
H 4.009 4.988 4.990
H 4.524 5.177 8.870
H 3.949 3.562 5.609
H 4.780 4.028 7.809
H 4.274 1.778 9.229
H 4.581 2.195 2.331
H 4.705 2.032 3.897
H 6.811 6.540 6.796
H 6.935 6.377 8.362
H 7.241 6.794 1.464
H 6.736 4.544 2.884
H 7.567 5.010 5.084
H 6.991 3.395 1.823
H 7.507 3.584 5.703
H 8.381 7.603 0.757
H 9.083 5.780 10.321
H 9.362 7.798 5.534
H 8.735 4.275 10.029
H 9.917 8.228 8.182
H 8.468 2.561 8.063
H 9.232 6.108 2.230
H 9.636 6.635 4.476
H 8.156 1.106 1.753
I 5.373 6.847 10.547
I 5.750 6.623 4.167
I 5.765 1.949 6.526
I 6.142 1.725 0.146
O 1.661 2.779 7.744
O 1.107 1.189 2.475
O 1.889 1.708 5.251
O 2.448 3.478 1.084
O 3.365 4.300 5.304
O 4.108 4.669 8.135
O 3.391 1.880 9.651
O 4.101 2.313 3.179
O 7.415 6.259 7.514
O 8.125 6.692 1.042
O 7.407 3.903 2.558
O 8.150 4.272 5.389
O 9.068 5.094 9.609
O 9.626 6.864 5.442
O 10.408 7.384 8.217
O 9.855 5.793 2.949
```


4.
Ca2InP3H4O13 | PBE | relaxed

ΔE_f   -2.51 eV per atom
Symmetry   C2/c (15)

extended XYZ file:
```
46
Lattice="3.804 -8.043 0.000 3.804 8.043 0.000 -3.719 0.000 8.654" Properties=species:S:1:pos:R:3 pbc="T T T"
Ca 0.124 0.118 3.788
Ca -1.736 -0.118 8.115
Ca 5.624 0.118 0.539
Ca 3.764 -0.118 4.866
In 0.042 4.022 4.327
In 1.902 -4.022 0.000
P 0.749 2.373 1.295
P -1.110 -2.373 5.621
P 1.014 1.596 6.490
P 2.874 -1.596 2.163
P 4.999 2.373 3.032
P 3.139 -2.373 7.359
H 2.127 5.946 2.475
H 2.745 2.995 0.471
H 3.621 5.946 1.852
H 3.003 2.995 3.856
H 0.885 -2.995 4.798
H 0.267 -5.946 6.802
H 1.144 -2.995 8.183
H 1.761 -5.946 6.179
O 0.163 0.988 0.991
O 0.718 2.575 2.825
O 2.874 6.511 2.163
O -1.696 -0.988 5.317
O -0.094 2.433 5.757
O -0.089 4.481 8.163
O 2.254 2.193 0.770
O 2.118 4.481 4.817
O -1.142 -2.575 7.152
O 0.315 0.730 7.544
O 1.766 -2.433 1.430
O 0.394 -2.193 5.097
O 1.714 0.730 5.436
O 2.175 -0.730 3.217
O 3.495 2.193 3.557
O 2.122 2.433 7.223
O 3.573 -0.730 1.109
O 5.030 2.575 1.502
O 1.770 -4.481 3.837
O 1.635 -2.193 7.883
O 3.978 -4.481 0.490
O 3.982 -2.433 2.896
O 5.585 0.988 3.336
O 1.014 -6.511 6.490
O 3.171 -2.575 5.829
O 3.725 -0.988 7.663
```


5.
NaCaH6Ir | PBE | relaxed

Largest piezoelectric modulus   0.1 C/m2
ΔE_f   -0.54 eV per atom
Symmetry   F-43m (216)

extended XYZ file:
```
9
Lattice="0.000 3.613 3.613 3.613 0.000 3.613 3.613 3.613 0.000" Properties=species:S:1:pos:R:3 pbc="T T T"
Na 0.000 0.000 0.000
Ca 3.613 3.613 3.613
H 5.420 5.420 3.739
H 5.420 3.739 5.420
H 7.100 5.420 5.420
H 3.739 5.420 5.420
H 5.420 7.100 5.420
H 5.420 5.420 7.100
Ir 5.420 5.420 5.420
```


6.
K2Ca2MgH2S4O16 | PBE | relaxed

ΔE_f   -2.11 eV per atom
Symmetry   P-1 (2)

extended XYZ file:
```
27
Lattice="6.964 0.000 0.000 -2.841 6.391 0.000 -2.256 -2.710 8.211" Properties=species:S:1:pos:R:3 pbc="T T T"
K -0.859 1.900 3.560
K 2.725 1.781 4.651
Ca 0.524 -1.167 6.177
Ca 1.342 4.848 2.034
Mg 0.000 0.000 0.000
H -0.866 1.910 0.665
H 2.733 1.771 7.546
S -2.193 5.080 2.938
S -0.862 2.063 7.057
S 2.728 1.618 1.154
S 4.060 -1.399 5.273
O -3.197 5.587 1.897
O -2.832 4.014 3.741
O -1.010 4.563 2.221
O -1.724 2.894 6.169
O 1.820 0.713 0.343
O -1.677 1.328 8.041
O 0.981 -0.180 3.844
O -0.032 1.169 6.210
O 1.898 2.512 2.001
O 0.885 3.861 4.366
O 3.544 2.353 0.169
O 0.046 2.968 7.867
O 3.591 0.787 2.042
O 2.877 -0.882 5.990
O 4.698 -0.333 4.470
O 5.063 -1.906 6.314
```


Q: What is the formula in the fifth record?
A: NaCaH6Ir